# 1
InH12C4Se2I3 GGA-PBE relaxed; E (MP2020) = -391.1 eV per cell
1.0
8.538 0.000 0.000
0.000 8.770 0.000
-0.043 0.000 25.579
In H C Se I
4 48 16 8 12
direct
0.170 0.144 0.377
0.170 0.356 0.877
0.830 0.644 0.123
0.830 0.856 0.623
0.032 0.725 0.761
0.032 0.775 0.261
0.158 0.668 0.218
0.158 0.832 0.718
0.161 0.716 0.966
0.161 0.784 0.466
0.178 0.547 0.590
0.178 0.953 0.090
0.221 0.651 0.745
0.221 0.849 0.245
0.250 0.577 0.008
0.250 0.923 0.508
0.272 0.703 0.623
0.272 0.797 0.123
0.278 0.727 0.358
0.278 0.773 0.858
0.295 0.511 0.647
0.295 0.989 0.147
0.341 0.740 0.500
0.341 0.760 0.000
0.422 0.637 0.399
0.422 0.863 0.899
0.484 0.740 0.846
0.484 0.760 0.346
0.516 0.240 0.654
0.516 0.260 0.154
0.578 0.137 0.101
0.578 0.363 0.601
0.659 0.240 0.000
0.659 0.260 0.500
0.705 0.011 0.853
0.705 0.489 0.353
0.722 0.227 0.142
0.722 0.273 0.642
0.728 0.203 0.877
0.728 0.297 0.377
0.750 0.077 0.492
0.750 0.423 0.992
0.779 0.151 0.755
0.779 0.349 0.255
0.822 0.047 0.910
0.822 0.453 0.410
0.839 0.216 0.534
0.839 0.284 0.034
0.842 0.168 0.282
0.842 0.332 0.782
0.968 0.225 0.739
0.968 0.275 0.239
0.121 0.718 0.730
0.121 0.782 0.230
0.216 0.592 0.628
0.216 0.908 0.128
0.272 0.671 0.981
0.272 0.829 0.481
0.394 0.740 0.376
0.394 0.760 0.876
0.606 0.240 0.124
0.606 0.260 0.624
0.728 0.171 0.519
0.728 0.329 0.019
0.784 0.092 0.872
0.784 0.408 0.372
0.879 0.218 0.770
0.879 0.282 0.270
0.027 0.610 0.671
0.027 0.890 0.171
0.395 0.584 0.923
0.395 0.916 0.423
0.605 0.084 0.577
0.605 0.416 0.077
0.973 0.110 0.829
0.973 0.390 0.329
0.072 0.062 0.624
0.072 0.438 0.124
0.223 0.175 0.964
0.223 0.325 0.464
0.370 0.178 0.293
0.370 0.322 0.793
0.630 0.678 0.207
0.630 0.822 0.707
0.777 0.675 0.536
0.777 0.825 0.036
0.928 0.562 0.876
0.928 0.938 0.376

# 2
Sr2GdS3 GGA-PBE relaxed; E (MP2020) = -42.9 eV per cell
1.0
4.101 0.000 0.000
0.000 4.101 0.000
0.000 0.000 14.055
Sr Gd S
2 1 3
direct
0.000 0.000 0.205
0.000 0.000 0.795
0.500 0.500 0.000
0.000 0.000 0.000
0.500 0.500 0.208
0.500 0.500 0.792

# 3
CuO GGA-PBE relaxed; E (MP2020) = -30.8 eV per cell
1.0
3.941 0.000 0.000
0.000 3.941 0.000
0.000 0.000 3.941
Cu O
3 3
direct
0.000 0.000 0.500
0.000 0.500 0.000
0.500 0.000 0.000
0.000 0.500 0.500
0.500 0.000 0.500
0.500 0.500 0.000

# 4
Entry from the Materials Project database: an optimized crystal structure of Eu3Tm (GGA-PBE).

```
Eu3Tm
1.0
7.650 0.000 0.000
-3.825 6.626 0.000
0.000 0.000 6.115
Eu Tm
6 2
direct
0.170 0.340 0.250
0.170 0.830 0.250
0.340 0.170 0.750
0.660 0.830 0.250
0.830 0.170 0.750
0.830 0.660 0.750
0.333 0.667 0.750
0.667 0.333 0.250
```

no.,E_form (eV per atom),final energy (eV per atom),calculated density (g cm⁻³)
1,-0.27,-4.393,2.47
2,-2.18,-6.905,3.01
3,-0.61,-4.787,6.47
4,0.08,-8.728,6.70